[1]
LiH2BrO5, optimized geometry, DFT GGA-PBE; energy with MP2020 corrections = -4.702 eV per atom; energy above the lowest structure with this stoichiometry = 0.1398 eV/atom
1.0
8.3912 -2.7904 0.0000
8.3912 2.7904 0.0000
-2.7746 0.0000 10.6830
Li H Br O
4 8 4 20
Cartesian
2.8083 1.3952 5.3415 Li
6.3103 2.5735 8.0123 Li
4.1956 -1.3952 0.0000 Li
7.6976 -2.5735 2.6708 Li
1.6318 0.0703 1.6132 H
0.2445 -0.0703 6.9547 H
5.1545 0.8431 0.4166 H
3.7672 -0.8431 5.7581 H
10.2407 0.8431 4.9249 H
8.8534 -0.8431 10.2664 H
13.7633 0.0703 3.7283 H
12.3760 -0.0703 9.0698 H
5.3500 0.2113 2.8307 Br
3.9627 -0.2113 8.1722 Br
10.0452 0.2113 2.5108 Br
8.6579 -0.2113 7.8523 Br
4.0148 1.9266 9.6550 O
6.2619 1.5906 2.5880 O
4.1788 0.7459 3.8718 O
5.2721 1.2905 9.3036 O
4.5423 0.2663 0.9173 O
8.6057 1.9266 6.3695 O
9.1333 1.5906 2.7535 O
7.3484 1.2905 6.7209 O
3.1550 -0.2663 6.2588 O
2.7915 -0.7459 9.2133 O
11.2163 0.7459 1.4697 O
10.8528 0.2663 4.4242 O
6.6595 -1.2905 3.9621 O
4.8746 -1.5906 7.9295 O
5.4021 -1.9266 4.3135 O
9.4655 -0.2663 9.7657 O
8.7357 -1.2905 1.3794 O
9.8290 -0.7459 6.8112 O
7.7460 -1.5906 8.0950 O
9.9931 -1.9266 1.0280 O

[2]
Na3HfZnP3O12, optimized geometry, DFT GGA-PBE; energy with MP2020 corrections = -7.339 eV per atom
1.0
7.8380 -4.5143 0.0000
7.8380 4.5143 0.0000
-0.0495 0.0000 22.2978
Na Hf Zn P O
18 6 6 18 72
Cartesian
7.8133 4.4900 11.1489 Na
2.6836 1.2579 9.1846 Na
7.4630 1.5564 9.1893 Na
2.6589 -1.2579 20.3335 Na
7.9579 1.7497 1.7529 Na
5.1447 0.0454 18.5816 Na
5.1694 -0.0454 7.4328 Na
10.5504 2.7510 5.4789 Na
7.8714 1.2151 16.6082 Na
7.8961 -1.2151 5.4593 Na
10.5199 0.2274 14.8610 Na
7.4383 -1.5564 20.3382 Na
10.5446 -0.2274 3.7121 Na
7.9331 -1.7497 12.9018 Na
13.1244 1.2236 1.7493 Na
13.0996 -1.2236 12.8982 Na
10.5257 -2.7510 16.6278 Na
7.8380 -4.4900 0.0000 Na
5.1379 0.0715 3.9025 Hf
5.1131 -0.0715 15.0514 Hf
10.4043 0.0562 11.3329 Hf
10.4290 -0.0562 0.1840 Hf
15.5485 0.0162 7.6170 Hf
15.5238 -0.0162 18.7659 Hf
7.7958 4.4753 14.3305 Zn
5.1053 0.0768 21.7669 Zn
5.1301 -0.0768 10.6180 Zn
10.4536 0.0143 18.0512 Zn
10.4784 -0.0143 6.9023 Zn
7.8206 -4.4753 3.1816 Zn
2.8202 1.3420 12.7167 P
5.2011 2.6814 1.5886 P
10.0546 3.1788 16.5109 P
7.7763 1.8359 5.2983 P
2.8450 -1.3420 1.5678 P
7.4639 1.3328 12.7337 P
10.3858 2.6926 8.9533 P
8.0468 1.3225 20.1665 P
7.4886 -1.3328 1.5848 P
5.1763 -2.6814 12.7375 P
8.0715 -1.3225 9.0176 P
12.6817 1.3431 20.2250 P
7.7515 -1.8359 16.4472 P
13.2823 1.3366 5.2309 P
12.7065 -1.3431 9.0761 P
10.3610 -2.6926 20.1022 P
10.0793 -3.1788 5.3620 P
13.2575 -1.3366 16.3798 P
6.4077 3.6274 1.7284 O
6.3754 3.5047 17.5855 O
1.5746 0.7022 6.6445 O
5.0172 1.7811 2.8582 O
3.7260 1.0126 13.9622 O
3.4683 0.8366 11.4324 O
5.0930 1.6483 9.1821 O
3.6793 0.8346 20.2727 O
5.4292 1.8189 0.3669 O
3.6189 0.5768 5.2526 O
5.3629 1.5890 16.3789 O
7.6337 2.8392 12.8972 O
1.5498 -0.7022 17.7934 O
7.6340 2.7546 6.5615 O
9.2489 3.6792 1.7103 O
9.0284 3.5195 8.9663 O
7.9942 2.8928 20.1035 O
9.1790 3.4334 15.3046 O
7.9418 2.6789 4.0406 O
3.5941 -0.5768 16.4015 O
6.6520 1.0695 11.4648 O
6.4957 0.9239 5.2598 O
3.4931 -0.8366 0.2835 O
3.7041 -0.8346 9.1238 O
6.6612 0.7042 20.3303 O
3.7508 -1.0126 2.8133 O
6.7341 0.6718 13.9685 O
10.5103 1.9155 7.6488 O
8.9751 1.0296 21.4088 O
10.2150 1.6934 10.1550 O
10.2471 1.6674 16.6633 O
8.6899 0.7437 18.9025 O
8.9983 0.8992 5.4123 O
8.8532 0.5923 12.6654 O
10.6320 1.5825 1.5484 O
6.6859 -0.7042 9.1814 O
6.7588 -0.6718 2.8196 O
5.0682 -1.6483 20.3310 O
6.4709 -0.9239 16.4087 O
4.9925 -1.7811 14.0071 O
5.3876 -1.5890 5.2300 O
6.6767 -1.0695 0.3159 O
5.4045 -1.8189 11.5158 O
8.8780 -0.5923 1.5165 O
11.7929 1.0885 19.0273 O
8.7147 -0.7437 7.7536 O
11.7177 0.9482 12.6682 O
11.8505 0.8181 5.4157 O
8.9736 -0.8992 16.5612 O
12.0218 0.7626 21.5245 O
8.9999 -1.0296 10.2599 O
7.6092 -2.7546 17.7104 O
13.8847 0.8349 3.9335 O
6.4001 -3.5047 6.4366 O
7.6585 -2.8392 1.7483 O
7.9171 -2.6789 15.1895 O
6.3830 -3.6274 12.8773 O
14.1014 0.6760 20.1159 O
8.0190 -2.8928 8.9546 O
10.1902 -1.6934 21.3039 O
10.2719 -1.6674 5.5144 O
11.8257 -0.8181 16.5646 O
10.6072 -1.5825 12.6973 O
11.7424 -0.9482 1.5193 O
12.0465 -0.7626 10.3756 O
11.8176 -1.0885 7.8784 O
10.4856 -1.9155 18.7977 O
9.0037 -3.5195 20.1152 O
9.2037 -3.4334 4.1557 O
14.1261 -0.6760 8.9670 O
13.8599 -0.8349 15.0824 O
9.2241 -3.6792 12.8592 O

[3]
RbFeS2, optimized geometry, DFT GGA-PBE; energy with MP2020 corrections = -5.440 eV per atom
1.0
3.6400 -5.8603 0.0000
3.6400 5.8603 0.0000
-1.9937 0.0000 5.0630
Rb Fe S
2 2 4
Cartesian
2.1448 4.1495 3.7973 Rb
3.1416 -4.1495 1.2658 Rb
3.1416 0.0292 1.2658 Fe
2.1448 -0.0292 3.7973 Fe
0.4794 1.1531 4.5810 S
1.4762 -1.1531 2.0495 S
3.8101 1.1531 3.0135 S
4.8070 -1.1531 0.4820 S

[4]
A relaxed La2IrPd crystal. Source: Materials Project, functional GGA-PBE.

POSCAR file:
```
La2IrPd
1.0
0.0000 3.6338 3.6338
3.6338 0.0000 3.6338
3.6338 3.6338 0.0000
La Ir Pd
2 1 1
Cartesian
1.8169 1.8169 1.8169 La
5.4507 5.4507 5.4507 La
0.0000 0.0000 0.0000 Ir
3.6338 3.6338 3.6338 Pd
```

[5]
LiCuO2, optimized geometry, DFT GGA-PBE; maximum piezoelectric response = 1.50 C/m2; energy with MP2020 corrections = -5.402 eV per atom
1.0
5.0271 -1.3678 0.0000
5.0271 1.3678 0.0000
-3.7586 0.0000 6.3599
Li Cu O
2 2 4
Cartesian
0.0000 0.0000 0.0000 Li
5.4223 0.0000 2.9709 Li
2.9014 0.0000 3.9782 Cu
7.6043 0.0000 0.9980 Cu
-1.0531 0.0000 3.3688 O
1.3928 0.0000 1.4431 O
3.6903 0.0000 0.4799 O
6.7968 0.0000 4.4789 O

[6]
A relaxed Dy2Au crystal. Source: Materials Project, functional GGA-PBE.

POSCAR file:
```
Dy2Au
1.0
7.1487 0.0000 0.0000
0.0000 4.9600 0.0000
0.0000 0.0000 8.9559
Dy Au
8 4
Cartesian
0.1114 1.2400 1.5836 Dy
1.0631 1.2400 5.1894 Dy
2.5113 3.7200 0.7115 Dy
3.4630 3.7200 6.0615 Dy
3.6857 1.2400 2.8944 Dy
4.6374 1.2400 8.2444 Dy
6.0856 3.7200 3.7665 Dy
7.0373 3.7200 7.3723 Dy
1.7388 1.2400 8.0620 Au
1.8355 3.7200 3.5840 Au
5.3132 1.2400 5.3719 Au
5.4099 3.7200 0.8939 Au
```

[7]
YMn2S4, optimized geometry, DFT GGA-PBE; energy with MP2020 corrections = -7.239 eV per atom; energy above the lowest structure with this stoichiometry = 0.0000 eV/atom
1.0
-3.7609 3.8443 5.2670
3.7609 -3.8443 5.2670
3.7609 3.8443 -5.2670
Y Mn S
2 4 8
Cartesian
0.0000 0.0000 0.0000 Y
0.0000 3.8443 0.0000 Y
1.8804 1.9221 -2.6335 Mn
1.8804 -1.9221 2.6335 Mn
3.7609 1.9221 1.3656 Mn
0.0000 1.9221 3.9014 Mn
3.7609 -0.2007 2.5540 S
3.7609 3.6436 -2.5540 S
1.8912 1.9221 -0.1472 S
5.6305 1.9221 -0.1472 S
-1.8696 1.9221 5.4143 S
1.8696 1.9221 5.4143 S
0.0000 0.2007 7.8211 S
0.0000 4.0450 2.7130 S

[8]
A relaxed DyGePd crystal. Source: Materials Project, functional GGA-PBE.

POSCAR file:
```
DyGePd
1.0
-2.2072 10.5110 3.8160
2.2072 -10.5110 3.8160
2.2072 10.5110 -3.8160
Dy Ge Pd
6 6 6
Cartesian
0.0000 0.0000 0.0000 Dy
2.2072 -7.0133 3.1820 Dy
2.2072 -3.5177 3.7668 Dy
2.2072 0.0000 3.1789 Dy
2.2072 3.5177 3.7668 Dy
2.2072 7.0133 3.1820 Dy
2.2072 8.5388 -1.5558 Ge
2.2072 4.9450 0.8712 Ge
0.0000 1.9722 2.2602 Ge
0.0000 9.1480 2.2674 Ge
0.0000 11.8739 2.2674 Ge
0.0000 5.5660 4.6872 Ge
2.2072 -2.1892 0.9514 Pd
2.2072 5.6069 -1.6382 Pd
2.2072 2.1892 0.9514 Pd
0.0000 4.9040 2.1778 Pd
2.2072 8.9929 0.9817 Pd
0.0000 1.5181 4.7977 Pd
```

[9]
A relaxed YMnGe crystal. Source: Materials Project, functional GGA-PBE.

POSCAR file:
```
YMnGe
1.0
7.0717 0.0000 0.0000
0.0000 4.0985 0.0000
0.0000 0.0000 8.0311
Y Mn Ge
4 4 4
Cartesian
0.1822 1.0246 1.4509 Y
3.3537 3.0739 5.4665 Y
3.7180 1.0246 2.5646 Y
6.8896 3.0739 6.5802 Y
0.9301 1.0246 4.4494 Mn
2.6058 3.0739 0.4338 Mn
4.4660 1.0246 7.5973 Mn
6.1416 3.0739 3.5817 Mn
1.5921 3.0739 3.0613 Ge
1.9437 1.0246 7.0769 Ge
5.1280 3.0739 0.9543 Ge
5.4796 1.0246 4.9698 Ge
```

[10]
A relaxed CeGaPd2 crystal. Source: Materials Project, functional GGA-PBE.

POSCAR file:
```
CeGaPd2
1.0
7.6513 0.0000 0.0000
0.0000 7.0934 0.0000
0.0000 0.0000 5.7592
Ce Ga Pd
4 4 8
Cartesian
0.2625 1.7733 0.8953 Ce
3.5632 5.3200 3.7749 Ce
4.0881 1.7733 1.9843 Ce
7.3889 5.3200 4.8640 Ce
0.9036 5.3200 1.9989 Ga
2.9221 1.7733 4.8785 Ga
4.7292 5.3200 0.8807 Ga
6.7478 1.7733 3.7603 Ga
1.3715 0.3580 3.3780 Pd
1.3715 3.1887 3.3780 Pd
2.4542 3.9046 0.4984 Pd
2.4542 6.7354 0.4984 Pd
5.1972 0.3580 5.2608 Pd
5.1972 3.1887 5.2608 Pd
6.2799 3.9046 2.3812 Pd
6.2799 6.7354 2.3812 Pd
```

[11]
RbMg14Al, optimized geometry, DFT GGA-PBE; energy above the lowest structure with this stoichiometry = 0.0000 eV/atom
1.0
10.5891 0.0000 0.0000
0.0000 3.3080 5.6207
0.0000 -3.3080 5.6207
Rb Mg Al
1 14 1
Cartesian
0.0000 0.0000 0.0000 Rb
0.0000 -1.6039 2.8338 Mg
0.0000 1.6039 2.8338 Mg
2.5437 0.0000 7.4606 Mg
2.7596 -1.5746 4.6594 Mg
2.7596 1.5746 4.6594 Mg
2.8229 0.0000 1.9369 Mg
5.2945 0.0000 5.6097 Mg
5.2945 -1.6317 8.4091 Mg
5.2945 1.6317 8.4091 Mg
5.2945 0.0000 11.2096 Mg
7.7662 0.0000 1.9369 Mg
7.8295 -1.5746 4.6594 Mg
7.8295 1.5746 4.6594 Mg
8.0454 0.0000 7.4606 Mg
0.0000 0.0000 5.4395 Al

[12]
Pr4NiS7, optimized geometry, DFT GGA-PBE; energy with MP2020 corrections = -6.388 eV per atom
1.0
10.0515 0.0000 0.0000
-5.0257 8.7048 0.0000
0.0000 0.0000 6.7335
Pr Ni S
8 2 14
Cartesian
-2.4498 6.7226 0.0000 Pr
0.4287 3.2219 0.0000 Pr
0.0000 5.8032 3.6557 Pr
3.0046 1.2397 3.3667 Pr
2.0211 7.4651 0.0000 Pr
5.0257 2.9016 0.2889 Pr
4.5971 5.4829 3.3667 Pr
7.4755 1.9822 3.3667 Pr
0.0000 0.0000 1.3843 Ni
0.0000 0.0000 4.7511 Ni
-1.8013 4.3544 5.0793 S
-3.4767 7.5475 2.8511 S
0.2277 1.9202 2.8511 S
1.7768 0.7629 6.2178 S
0.0000 5.8032 0.9816 S
-0.3541 8.0876 5.0793 S
2.8704 3.7372 1.7126 S
2.1554 4.9677 5.0793 S
5.3798 0.6172 1.7126 S
5.0257 2.9016 4.3484 S
3.2490 7.9420 2.8511 S
4.7980 6.7847 6.2178 S
8.5024 1.1573 6.2178 S
6.8270 4.3504 1.7126 S

[13]
Rb2NaNdF6, optimized geometry, DFT GGA-PBE; energy with MP2020 corrections = -5.467 eV per atom
1.0
0.0000 4.5998 4.5998
4.5998 0.0000 4.5998
4.5998 4.5998 0.0000
Rb Na Nd F
2 1 1 6
Cartesian
2.2999 2.2999 2.2999 Rb
6.8998 6.8998 6.8998 Rb
0.0000 0.0000 0.0000 Na
4.5998 4.5998 4.5998 Nd
4.5998 4.5998 2.3203 F
4.5998 2.3203 4.5998 F
6.8794 4.5998 4.5998 F
2.3203 4.5998 4.5998 F
4.5998 6.8794 4.5998 F
4.5998 4.5998 6.8794 F

[14]
Mo3WSe4S4, optimized geometry, DFT GGA-PBE; energy with MP2020 corrections = -7.229 eV per atom; energy above the lowest structure with this stoichiometry = 0.0179 eV/atom
1.0
3.2581 0.0000 0.0000
-1.6291 2.8216 0.0000
0.0000 0.0000 36.4692
Mo W Se S
3 1 4 4
Cartesian
0.0000 0.0000 0.0000 Mo
0.0000 0.0000 13.7044 Mo
1.6291 0.9405 29.6176 Mo
1.6291 0.9405 6.8504 W
0.0000 0.0000 5.1439 Se
0.0000 0.0000 8.5575 Se
1.6291 0.9405 12.0083 Se
1.6291 0.9405 15.4008 Se
0.0000 0.0000 28.0736 S
0.0000 0.0000 31.1615 S
1.6291 0.9405 1.5434 S
1.6291 0.9405 34.9257 S

[15]
CuSiBr, optimized geometry, DFT GGA-PBE; energy with MP2020 corrections = -3.219 eV per atom
1.0
0.0000 3.1532 3.1532
3.1532 0.0000 3.1532
3.1532 3.1532 0.0000
Cu Si Br
1 1 1
Cartesian
0.0000 0.0000 0.0000 Cu
4.7299 4.7299 4.7299 Si
1.5766 1.5766 1.5766 Br

no.,final energy (eV for the cell shown),formation energy (eV per atom)
1,-155.52,-0.80
2,-831.19,-2.80
3,-41.51,-1.01
4,-26.84,-0.74
5,-40.47,-1.43
6,-57.54,-0.63
7,-97.32,-1.33
8,-104.22,-0.99
9,-87.02,-0.50
10,-90.20,-0.81
11,-24.89,0.14
12,-146.28,-1.90
13,-51.90,-3.51
14,-84.74,-0.89
15,-9.12,0.50